(1)
The following is a DFT calculation (PBE) of crystalline Al2ZnS4 at its relaxed geometry.

abc: 24.0681 24.0681 24.0681
angles: 8.78 8.78 8.78
With the nearest neighbours (Å) after each atom.
Fractional coordinates of all 14 atoms:
Al 0.6055 0.6055 0.6055  6 S 2.41-2.55
Al 0.8880 0.8880 0.8880  4 S 2.25-2.30
Al 0.7720 0.7720 0.7720  6 S 2.42-2.55
Al 0.0545 0.0545 0.0545  4 S 2.25-2.31
Zn 0.3241 0.3241 0.3241  3 S 2.25
Zn 0.4916 0.4916 0.4916  3 S 2.25
S 0.0009 0.0009 0.0009  3 Zn 2.25
S 0.2879 0.2879 0.2879  3 Al 2.41, 1 Zn 2.60
S 0.9193 0.9193 0.9193  1 Al 2.25
S 0.5424 0.5424 0.5424  3 Al 2.30
S 0.8349 0.8349 0.8349  3 Zn 2.25
S 0.4546 0.4546 0.4546  3 Al 2.42, 1 Zn 2.66
S 0.0858 0.0858 0.0858  1 Al 2.25
S 0.3755 0.3755 0.3755  3 Al 2.31

- Magnetization: 0.0 Bohr magnetons per cell
- Volume: 141.1 Å³/f.u.



(2)
The following is a DFT calculation (PBE) of crystalline Al2Zn2S5 at its relaxed geometry.

abc: 3.7235 3.7235 30.0359
angles: 90.00 90.00 120.00
With the nearest neighbours (Å) after each atom.
Fractional coordinates of all 18 atoms:
Al 0.0000 0.0000 0.3101  6 S 2.44-2.53
Al 0.0000 0.0000 0.8101  6 S 2.44-2.53
Al 0.6667 0.3333 0.0824  4 S 2.27-2.30
Al 0.3333 0.6667 0.5824  4 S 2.27-2.30
Zn 0.6667 0.3333 0.4331  4 S 2.28-2.54
Zn 0.3333 0.6667 0.9331  4 S 2.28-2.54
Zn 0.3333 0.6667 0.1909  4 S 2.24-2.37
Zn 0.6667 0.3333 0.6909  4 S 2.24-2.37
S 0.3333 0.6667 0.4585  3 Zn 2.28
S 0.6667 0.3333 0.9585  3 Zn 2.28
S 0.6667 0.3333 0.3486  3 Al 2.44, 1 Zn 2.54
S 0.3333 0.6667 0.8486  3 Al 2.44, 1 Zn 2.54
S 0.3333 0.6667 0.2653  1 Zn 2.24
S 0.6667 0.3333 0.7653  1 Zn 2.24
S 0.6667 0.3333 0.1580  1 Al 2.27, 3 Zn 2.37
S 0.3333 0.6667 0.6580  1 Al 2.27, 3 Zn 2.37
S 0.3333 0.6667 0.0551  3 Al 2.30
S 0.6667 0.3333 0.5551  3 Al 2.30

- Magnetization: 0.0 Bohr magnetons per cell
- Volume: 180.3 Å³/f.u.



(3)
The following is a DFT calculation (PBE) of crystalline Al2Zn2S5 at its relaxed geometry.

abc: 6.1971 6.5764 9.9932
angles: 70.82 90.00 90.00
With the nearest neighbours (Å) after each atom.
Fractional coordinates of all 18 atoms:
Al 0.8780 0.1597 0.5002  4 S 2.25-2.30
Al 0.8743 0.3718 0.1032  4 S 2.27-2.30
Al 0.3743 0.6282 0.8968  4 S 2.27-2.30
Al 0.3780 0.8403 0.4998  4 S 2.25-2.30
Zn 0.8805 0.9673 0.8905  4 S 2.30-2.40
Zn 0.8663 0.7627 0.3064  4 S 2.32-2.41
Zn 0.3805 0.0327 0.1095  4 S 2.30-2.40
Zn 0.3663 0.2373 0.6936  4 S 2.32-2.41
S 0.4950 0.9569 0.9013  1 Al 2.30, 3 Zn 2.39-2.41
S 0.4986 0.5734 0.6981  2 Al 2.27-2.30, 1 Zn 2.37
S 0.5093 0.1631 0.4971  2 Al 2.27-2.28, 1 Zn 2.35
S 0.4914 0.7603 0.3090  1 Al 2.25, 2 Zn 2.30-2.32
S 0.5066 0.3778 0.0940  2 Al 2.27-2.28, 1 Zn 2.36
S 0.9950 0.0431 0.0987  1 Al 2.30, 3 Zn 2.39-2.41
S 0.0066 0.6222 0.9060  2 Al 2.27-2.28, 1 Zn 2.36
S 0.9914 0.2397 0.6910  1 Al 2.25, 2 Zn 2.30-2.32
S 0.0093 0.8369 0.5029  2 Al 2.27-2.28, 1 Zn 2.35
S 0.9986 0.4266 0.3019  2 Al 2.27-2.30, 1 Zn 2.37

- Volume: 192.3 Å³/f.u.



(4)
The following is a DFT calculation (PBE) of crystalline Al2ZnS4 at its relaxed geometry.

abc: 3.7128 3.7128 25.6686
angles: 90.00 90.00 120.00
With the nearest neighbours (Å) after each atom.
Fractional coordinates of all 14 atoms:
Al 0.0000 0.0000 0.7500  6 S 2.40-2.61
Al 0.0000 0.0000 0.2500  6 S 2.40-2.61
Al 0.6667 0.3333 0.8936  4 S 2.20-2.34
Al 0.3333 0.6667 0.1064  4 S 2.20-2.34
Zn 0.6667 0.3333 0.4133  3 S 2.19
Zn 0.3333 0.6667 0.5867  3 S 2.19
S 0.6667 0.3333 0.2918  3 Al 2.40
S 0.3333 0.6667 0.7082  3 Al 2.40
S 0.6667 0.3333 0.5693  3 Zn 2.19
S 0.3333 0.6667 0.4307  3 Zn 2.19
S 0.6667 0.3333 0.8079  1 Al 2.20
S 0.3333 0.6667 0.1921  1 Al 2.20
S 0.6667 0.3333 0.0696  3 Al 2.34
S 0.3333 0.6667 0.9304  3 Al 2.34

- Magnetization: 0.0 Bohr magnetons per cell
- Volume: 153.2 Å³/f.u.



(5)
The following is a DFT calculation (PBE) of crystalline Al2ZnS4 at its relaxed geometry.

abc: 3.7514 7.4475 7.3314
angles: 58.79 104.82 120.25
With the nearest neighbours (Å) after each atom.
Fractional coordinates of all 7 atoms:
Al 0.6683 0.9048 0.5269  4 S 2.20-2.37
Al 0.6631 0.3959 0.5345  2 S 2.13-2.35
Zn 0.3438 0.8738 0.9400  3 S 2.23-2.34
S 0.3352 0.6501 0.3703  3 Al 2.37-2.40
S 0.6369 0.6984 0.8771  1 Al 2.20, 2 Zn 2.34
S 0.3337 0.1449 0.3777  3 Al 2.34-2.35
S 0.6855 0.2488 0.8735  1 Al 2.13, 1 Zn 2.23

- Magnetization: 0.0 Bohr magnetons per cell
- Volume: 151.3 Å³/f.u.



(6)
The following is a DFT calculation (PBE) of crystalline Al2Zn2S5 at its relaxed geometry.

abc: 15.2158 15.2158 15.2158
angles: 14.04 14.04 14.04
With the nearest neighbours (Å) after each atom.
Fractional coordinates of all 9 atoms:
Al 0.1043 0.1043 0.1043  6 S 2.44-2.53
Al 0.9230 0.9230 0.9230  4 S 2.28-2.30
Zn 0.6889 0.6889 0.6889  4 S 2.28-2.55
Zn 0.5171 0.5171 0.5171  4 S 2.25-2.37
S 0.0055 0.0055 0.0055  3 Zn 2.28
S 0.4674 0.4674 0.4674  1 Zn 2.25
S 0.6081 0.6081 0.6081  3 Al 2.30
S 0.7453 0.7453 0.7453  3 Al 2.44, 1 Zn 2.55
S 0.8725 0.8725 0.8725  1 Al 2.28, 3 Zn 2.37

- Magnetization: 0.0 Bohr magnetons per cell
- Volume: 180.4 Å³/f.u.



(7)
The following is a DFT calculation (PBE) of crystalline Al2Zn3S6 at its relaxed geometry.

abc: 7.2605 7.2605 7.2605
angles: 54.16 54.16 54.16
With the nearest neighbours (Å) after each atom.
Fractional coordinates of all 11 atoms:
Al 0.0008 0.0008 0.0008  4 S 2.28-2.31
Al 0.6639 0.6639 0.6639  4 S 2.28-2.31
Zn 0.8153 0.1810 0.5049  4 S 2.28-2.41
Zn 0.5049 0.8153 0.1810  4 S 2.28-2.41
Zn 0.1810 0.5049 0.8153  4 S 2.28-2.41
S 0.9522 0.2923 0.6396  2 Al 2.28, 1 Zn 2.37
S 0.6396 0.9522 0.2923  2 Al 2.28, 1 Zn 2.37
S 0.2923 0.6396 0.9522  2 Al 2.28, 1 Zn 2.37
S 0.7884 0.7884 0.7884  1 Al 2.31, 3 Zn 2.39
S 0.4526 0.4526 0.4526  3 Zn 2.28
S 0.1254 0.1254 0.1254  1 Al 2.31, 3 Zn 2.41

- Magnetization: 0.0 Bohr magnetons per cell
- Volume: 233.8 Å³/f.u.



(8)
The following is a DFT calculation (PBE) of crystalline Al2ZnS4 at its relaxed geometry.

abc: 5.9105 7.2218 12.4750
angles: 90.00 90.00 90.00
With the nearest neighbours (Å) after each atom.
Fractional coordinates of all 28 atoms:
Al 0.5895 0.7500 0.0853  4 S 2.25-2.27
Al 0.9105 0.7500 0.5853  4 S 2.25-2.27
Al 0.4105 0.2500 0.9147  4 S 2.25-2.27
Al 0.0895 0.2500 0.4147  4 S 2.25-2.27
Al 0.0000 0.5000 0.0000  6 S 2.44-2.46
Al 0.5000 0.0000 0.5000  6 S 2.44-2.46
Al 0.0000 0.0000 0.0000  6 S 2.44-2.46
Al 0.5000 0.5000 0.5000  6 S 2.44-2.46
Zn 0.0037 0.7500 0.2661  6 S 2.54-2.65
Zn 0.4963 0.7500 0.7661  6 S 2.54-2.65
Zn 0.9963 0.2500 0.7339  6 S 2.54-2.65
Zn 0.5037 0.2500 0.2339  6 S 2.54-2.65
S 0.2089 0.7500 0.0861  3 Al 2.25-2.44
S 0.2911 0.7500 0.5861  3 Al 2.25-2.44
S 0.7911 0.2500 0.9139  3 Al 2.25-2.44
S 0.7089 0.2500 0.4139  3 Al 2.25-2.44
S 0.7319 0.7500 0.4241  3 Al 2.27-2.46, 1 Zn 2.54
S 0.7681 0.7500 0.9241  3 Al 2.27-2.46, 1 Zn 2.54
S 0.2681 0.2500 0.5759  3 Al 2.27-2.46, 1 Zn 2.54
S 0.2319 0.2500 0.0759  3 Al 2.27-2.46, 1 Zn 2.54
S 0.7599 0.5032 0.1600  2 Al 2.25-2.45
S 0.7401 0.9968 0.6600  2 Al 2.25-2.45
S 0.2401 0.0032 0.8400  2 Al 2.25-2.45
S 0.2599 0.4968 0.3400  2 Al 2.25-2.45
S 0.2401 0.4968 0.8400  2 Al 2.25-2.45
S 0.2599 0.0032 0.3400  2 Al 2.25-2.45
S 0.7599 0.9968 0.1600  2 Al 2.25-2.45
S 0.7401 0.5032 0.6600  2 Al 2.25-2.45

- Magnetization: 0.0 Bohr magnetons per cell
- Volume: 133.1 Å³/f.u.



(9)
The following is a DFT calculation (PBE) of crystalline Sr5Al2Sb6 at its relaxed geometry.

abc: 10.4113 12.1953 13.6552
angles: 90.00 90.00 90.00
With the nearest neighbours (Å) after each atom.
Fractional coordinates of all 52 atoms:
Sr 0.9800 0.8316 0.4656  6 Sb 3.41-3.75, 1 Al 3.62
Sr 0.2500 0.1608 0.8133  4 Sb 3.21-3.53
Sr 0.4800 0.6684 0.9656  6 Sb 3.41-3.75, 1 Al 3.62
Sr 0.5200 0.3316 0.0344  6 Sb 3.41-3.75, 1 Al 3.62
Sr 0.4743 0.5810 0.2625  6 Sb 3.25-3.48
Sr 0.5257 0.9190 0.7625  6 Sb 3.25-3.48
Sr 0.7500 0.3392 0.3133  4 Sb 3.21-3.53
Sr 0.4800 0.1684 0.5344  6 Sb 3.41-3.75, 1 Al 3.62
Sr 0.0257 0.0810 0.2375  6 Sb 3.25-3.48
Sr 0.0257 0.5810 0.2625  6 Sb 3.25-3.48
Sr 0.5257 0.4190 0.7375  6 Sb 3.25-3.48
Sr 0.7500 0.8392 0.1867  4 Sb 3.21-3.53
Sr 0.9800 0.3316 0.0344  6 Sb 3.41-3.75, 1 Al 3.62
Sr 0.5200 0.8316 0.4656  6 Sb 3.41-3.75, 1 Al 3.62
Sr 0.0200 0.6684 0.9656  6 Sb 3.41-3.75, 1 Al 3.62
Sr 0.4743 0.0810 0.2375  6 Sb 3.25-3.48
Sr 0.9743 0.4190 0.7375  6 Sb 3.25-3.48
Sr 0.9743 0.9190 0.7625  6 Sb 3.25-3.48
Sr 0.2500 0.6608 0.6867  4 Sb 3.21-3.53
Sr 0.0200 0.1684 0.5344  6 Sb 3.41-3.75, 1 Al 3.62
Al 0.7500 0.5798 0.5658  4 Sb 2.69-2.80
Al 0.2500 0.4202 0.4342  4 Sb 2.69-2.80
Al 0.2500 0.8105 0.2991  4 Sb 2.69-2.76
Al 0.7500 0.1895 0.7009  4 Sb 2.69-2.76
Al 0.2500 0.9202 0.0658  4 Sb 2.69-2.80
Al 0.7500 0.6895 0.7991  4 Sb 2.69-2.76
Al 0.7500 0.0798 0.9342  4 Sb 2.69-2.80
Al 0.2500 0.3105 0.2009  4 Sb 2.69-2.76
Sb 0.7500 0.6435 0.3775  1 Al 2.69
Sb 0.0568 0.8269 0.1692  2 Al 2.69-2.71
Sb 0.9432 0.6731 0.6692  2 Al 2.69-2.71
Sb 0.2500 0.9540 0.6238  1 Sb 2.95
Sb 0.0568 0.3269 0.3308  2 Al 2.69-2.71
Sb 0.2500 0.6496 0.4372  2 Al 2.72-2.80
Sb 0.4432 0.3269 0.3308  2 Al 2.69-2.71
Sb 0.5568 0.1731 0.8308  2 Al 2.69-2.71
Sb 0.2500 0.4987 0.0885  1 Al 2.76, 1 Sb 2.95
Sb 0.7500 0.3504 0.5628  2 Al 2.72-2.80
Sb 0.2500 0.1496 0.0628  2 Al 2.72-2.80
Sb 0.2500 0.4540 0.8762  1 Sb 2.95
Sb 0.5568 0.6731 0.6692  2 Al 2.69-2.71
Sb 0.2500 0.3565 0.6225  1 Al 2.69
Sb 0.7500 0.1435 0.1225  1 Al 2.69
Sb 0.9432 0.1731 0.8308  2 Al 2.69-2.71
Sb 0.7500 0.0013 0.5885  1 Al 2.76, 1 Sb 2.95
Sb 0.7500 0.0460 0.3762  1 Sb 2.95
Sb 0.7500 0.5460 0.1238  1 Sb 2.95
Sb 0.7500 0.5013 0.9115  1 Al 2.76, 1 Sb 2.95
Sb 0.2500 0.9987 0.4115  1 Al 2.76, 1 Sb 2.95
Sb 0.7500 0.8504 0.9372  2 Al 2.72-2.80
Sb 0.4432 0.8269 0.1692  2 Al 2.69-2.71
Sb 0.2500 0.8565 0.8775  1 Al 2.69

- Volume: 433.4 Å³/f.u.



no.,calculated formation energy (eV per formula unit),total energy (eV/atom),theoretical density (Mg/m³)
1,-8.23,-4.50,2.91
2,-10.22,-4.27,3.18
3,-11.11,-4.37,2.98
4,-8.09,-4.48,2.68
5,-8.10,-4.48,2.72
6,-10.19,-4.26,3.18
7,-13.10,-4.20,3.14
8,-8.46,-4.54,3.09
9,-11.57,-3.93,4.68